KNbB2O6 | the Materials Project database | PBE | optimized geometry; relative energy among the computed polymorphs = 7.1 meV/atom
1.0
-1.7693 3.5734 -0.0295
1.3807 0.7447 7.3954
8.6847 4.2831 -2.0527
O B K Nb
12 4 2 2
Cartesian
6.1315 7.1863 -0.4068
6.5340 3.5187 3.6940
0.8122 4.6458 5.7046
6.9900 7.6493 4.1913
3.4912 2.0372 1.5455
3.0405 1.6218 -0.7310
6.0322 3.2481 1.0067
4.0490 4.5599 2.6490
-0.0668 4.1717 0.9965
-0.7384 1.5506 -0.0183
6.4014 7.5125 1.9125
4.0135 2.3189 4.3429
3.6523 1.8955 5.5806
6.0233 7.4178 3.2675
2.7271 1.3965 0.6251
5.5677 7.1721 0.8275
0.8799 2.3640 3.4618
4.2735 4.6553 -1.2666
4.8584 2.9250 2.6625
-1.5480 3.1854 -0.0317


Compound: KEuGe4O12
Source: the Materials Project database
Functional: PBE
Structure: optimized geometry

Geometry as POSCAR:
```
KEuGe4O12
1.0
0.0000 3.8173 3.8636
0.0000 -3.8173 3.8636
7.6651 0.0000 0.0000
Ge O Eu K
4 12 1 1
Cartesian
1.9672 1.8488 1.9494
5.6979 1.8488 1.9494
1.9672 -1.8488 1.9494
5.6979 -1.8488 1.9494
1.8296 0.0000 5.5177
5.9617 0.0000 2.0910
1.7034 0.0000 2.0910
3.8326 -1.7846 1.9913
5.9727 1.8881 3.8569
0.0000 1.7839 5.7884
5.8355 0.0000 5.5177
0.0000 -1.7839 5.7884
3.8326 1.7846 1.9913
5.9727 -1.8881 3.8569
1.6924 -1.8881 3.8569
1.6924 1.8881 3.8569
0.0000 0.0000 3.9840
3.8326 0.0000 7.6885
```


| no. | total energy after the MP2020 corrections (eV/f.u.) |
| --- | --- |
| 1 | -83.06 |
| 2 | -120.13 |